1.
# RbGdP4O12 | Materials Project | PBE-GGA | optimized geometry
data_RbGdP4O12
_cell_length_a 9.052
_cell_length_b 10.518
_cell_length_c 12.967
_cell_angle_alpha 55.34
_cell_angle_beta 90.00
_cell_angle_gamma 90.00
_space_group_name_H-M_alt 'P 1'
_space_group_IT_number 1
_space_group_name_Hall 'P 1'
loop_
_atom_site_label
_atom_site_type_symbol
_atom_site_fract_x
_atom_site_fract_y
_atom_site_fract_z
O1 O 0.906 0.869 0.803
O2 O 0.837 0.701 0.483
O3 O 0.545 0.960 0.899
O4 O 0.790 0.837 0.594
O5 O 0.163 0.299 0.517
O6 O 0.742 0.427 0.011
O7 O 0.663 0.701 0.983
O8 O 0.658 0.154 0.160
O9 O 0.208 0.722 0.753
O10 O 0.084 0.070 0.784
O11 O 0.290 0.163 0.906
O12 O 0.416 0.070 0.284
O13 O 0.677 0.518 0.746
O14 O 0.758 0.427 0.511
O15 O 0.584 0.930 0.716
O16 O 0.455 0.040 0.101
O17 O 0.792 0.278 0.247
O18 O 0.539 0.576 0.324
O19 O 0.049 0.735 0.596
O20 O 0.469 0.634 0.829
O21 O 0.451 0.735 0.096
O22 O 0.708 0.278 0.747
O23 O 0.177 0.482 0.754
O24 O 0.916 0.930 0.216
O25 O 0.342 0.846 0.840
O26 O 0.039 0.424 0.176
O27 O 0.823 0.518 0.246
O28 O 0.323 0.482 0.254
O29 O 0.094 0.131 0.197
O30 O 0.594 0.869 0.303
O31 O 0.461 0.424 0.676
O32 O 0.242 0.573 0.489
O33 O 0.710 0.837 0.094
O34 O 0.031 0.634 0.329
O35 O 0.292 0.722 0.253
O36 O 0.549 0.265 0.904
O37 O 0.842 0.154 0.660
O38 O 0.045 0.040 0.601
O39 O 0.406 0.131 0.697
O40 O 0.158 0.846 0.340
O41 O 0.337 0.299 0.017
O42 O 0.955 0.960 0.399
O43 O 0.969 0.366 0.671
O44 O 0.258 0.573 0.989
O45 O 0.951 0.265 0.404
O46 O 0.531 0.366 0.171
O47 O 0.210 0.163 0.406
O48 O 0.961 0.576 0.824
P1 P 0.474 0.974 0.777
P2 P 0.607 0.801 0.023
P3 P 0.328 0.677 0.863
P4 P 0.526 0.026 0.223
P5 P 0.907 0.387 0.259
P6 P 0.974 0.026 0.723
P7 P 0.407 0.613 0.241
P8 P 0.828 0.323 0.637
P9 P 0.172 0.677 0.363
P10 P 0.893 0.801 0.523
P11 P 0.093 0.613 0.741
P12 P 0.672 0.323 0.137
P13 P 0.107 0.199 0.477
P14 P 0.393 0.199 0.977
P15 P 0.026 0.974 0.277
P16 P 0.593 0.387 0.759
Rb1 Rb 0.432 0.763 0.542
Rb2 Rb 0.932 0.237 0.958
Rb3 Rb 0.068 0.763 0.042
Rb4 Rb 0.568 0.237 0.458
Gd1 Gd 0.727 0.684 0.817
Gd2 Gd 0.227 0.316 0.683
Gd3 Gd 0.773 0.684 0.317
Gd4 Gd 0.273 0.316 0.183
# - magnetization (μB/f.u.) = 7.0
# - final energy (eV/f.u.) = -140.25
# - space group = P2_1/c, No. 14

---

2.
# GdZnPO | Materials Project | PBE-GGA | optimized geometry
data_GdZnPO
_cell_length_a 10.467
_cell_length_b 10.467
_cell_length_c 10.467
_cell_angle_alpha 21.67
_cell_angle_beta 21.67
_cell_angle_gamma 21.67
_space_group_name_H-M_alt 'P 1'
_space_group_IT_number 1
_space_group_name_Hall 'P 1'
loop_
_atom_site_label
_atom_site_type_symbol
_atom_site_fract_x
_atom_site_fract_y
_atom_site_fract_z
Gd1 Gd 0.380 0.380 0.380
Gd2 Gd 0.620 0.620 0.620
P1 P 0.112 0.112 0.112
P2 P 0.888 0.888 0.888
O1 O 0.305 0.305 0.305
O2 O 0.695 0.695 0.695
Zn1 Zn 0.196 0.196 0.196
Zn2 Zn 0.804 0.804 0.804
# - magnetization (μB/f.u.) = 7.0
# - final energy (eV/f.u.) = -33.13
# - space group = R-3m, No. 166

---

3.
# GdPaO4 | Materials Project | PBE-GGA | optimized geometry
data_GdPaO4
_cell_length_a 6.639
_cell_length_b 6.639
_cell_length_c 6.639
_cell_angle_alpha 131.60
_cell_angle_beta 131.60
_cell_angle_gamma 70.86
_space_group_name_H-M_alt 'P 1'
_space_group_IT_number 1
_space_group_name_Hall 'P 1'
loop_
_atom_site_label
_atom_site_type_symbol
_atom_site_fract_x
_atom_site_fract_y
_atom_site_fract_z
Gd1 Gd 0.500 0.500 0.000
Gd2 Gd 0.250 0.750 0.500
O1 O 0.375 0.361 0.486
O2 O 0.875 0.889 0.514
O3 O 0.639 0.625 0.514
O4 O 0.639 0.125 0.014
O5 O 0.111 0.625 0.986
O6 O 0.875 0.361 0.986
O7 O 0.375 0.889 0.014
O8 O 0.111 0.125 0.486
Pa1 Pa 0.000 0.000 0.000
Pa2 Pa 0.750 0.250 0.500
# - final energy (eV/f.u.) = -65.51
# - space group = I4_1/amd, No. 141

---

4.
# GdPd2O4 | Materials Project | PBE-GGA | optimized geometry
data_GdPd2O4
_cell_length_a 6.571
_cell_length_b 6.571
_cell_length_c 6.571
_cell_angle_alpha 127.07
_cell_angle_beta 127.07
_cell_angle_gamma 78.14
_space_group_name_H-M_alt 'P 1'
_space_group_IT_number 1
_space_group_name_Hall 'P 1'
loop_
_atom_site_label
_atom_site_type_symbol
_atom_site_fract_x
_atom_site_fract_y
_atom_site_fract_z
O1 O 0.707 0.244 0.849
O2 O 0.395 0.858 0.151
O3 O 0.142 0.293 0.537
O4 O 0.994 0.645 0.037
O5 O 0.043 0.006 0.651
O6 O 0.355 0.392 0.349
O7 O 0.608 0.957 0.963
O8 O 0.756 0.605 0.463
Pd1 Pd 0.375 0.125 0.750
Pd2 Pd 0.875 0.625 0.250
Pd3 Pd 0.375 0.625 0.250
Pd4 Pd 0.375 0.625 0.750
Gd1 Gd 0.000 0.000 0.000
Gd2 Gd 0.750 0.250 0.500
# - final energy (eV/f.u.) = -55.24
# - space group = I4_1/a, No. 88

---

5.
# Gd2ZnPtO6 | Materials Project | PBE-GGA | optimized geometry
data_Gd2ZnPtO6
_cell_length_a 5.801
_cell_length_b 5.418
_cell_length_c 9.511
_cell_angle_alpha 55.14
_cell_angle_beta 90.00
_cell_angle_gamma 90.00
_space_group_name_H-M_alt 'P 1'
_space_group_IT_number 1
_space_group_name_Hall 'P 1'
loop_
_atom_site_label
_atom_site_type_symbol
_atom_site_fract_x
_atom_site_fract_y
_atom_site_fract_z
O1 O 0.797 0.879 0.435
O2 O 0.703 0.879 0.935
O3 O 0.309 0.747 0.445
O4 O 0.809 0.253 0.055
O5 O 0.203 0.121 0.565
O6 O 0.048 0.367 0.754
O7 O 0.191 0.747 0.945
O8 O 0.952 0.633 0.246
O9 O 0.691 0.253 0.555
O10 O 0.452 0.367 0.254
O11 O 0.548 0.633 0.746
O12 O 0.297 0.121 0.065
Gd1 Gd 0.428 0.230 0.747
Gd2 Gd 0.072 0.230 0.247
Gd3 Gd 0.572 0.770 0.253
Gd4 Gd 0.928 0.770 0.753
Zn1 Zn 0.500 0.500 0.000
Zn2 Zn 0.000 0.500 0.500
Pt1 Pt 0.000 0.000 0.000
Pt2 Pt 0.500 0.000 0.500
# - final energy (eV/f.u.) = -87.07
# - space group = P2_1/c, No. 14

---

6.
# RbGdO3 | Materials Project | PBE-GGA | optimized geometry
data_RbGdO3
_cell_length_a 4.472
_cell_length_b 4.472
_cell_length_c 4.472
_cell_angle_alpha 90.00
_cell_angle_beta 90.00
_cell_angle_gamma 90.00
_space_group_name_H-M_alt 'P 1'
_space_group_IT_number 1
_space_group_name_Hall 'P 1'
loop_
_atom_site_label
_atom_site_type_symbol
_atom_site_fract_x
_atom_site_fract_y
_atom_site_fract_z
O1 O 0.000 0.500 0.500
O2 O 0.500 0.000 0.500
O3 O 0.500 0.500 0.000
Rb1 Rb 0.000 0.000 0.000
Gd1 Gd 0.500 0.500 0.500
# - magnetization (μB/f.u.) = 5.0
# - final energy (eV/f.u.) = -39.38
# - space group = Pm-3m, No. 221

---

| no. | DFT formation energy (eV per atom) |
| --- | --- |
| 1 | -2.911 |
| 2 | -2.030 |
| 3 | -4.147 |
| 4 | -1.965 |
| 5 | -2.602 |
| 6 | -2.309 |